(1)
First-principles (r²SCAN) data for a relaxed structure of YbEuMg2, as listed in Materials Project.

Summary:
V   28.67 Å³/atom
DFT formation energy   -0.03 eV/atom
Space-group type   Fm-3m (225)
Energy   -83.496 eV for the cell shown

Cell lengths 5.4532, 5.4532, 5.4532 Å; angles 60.00, 60.00, 60.00 degrees
Last column: nearest neighbours and their distance in Å.
Sites, in units of the cell vectors:
Yb (0.0000, 0.0000, 0.0000)  8 Mg 3.34
Eu (0.5000, 0.5000, 0.5000)  8 Mg 3.34
Mg (0.2500, 0.2500, 0.2500)  4 Yb 3.34, 4 Eu 3.34
Mg (0.7500, 0.7500, 0.7500)  4 Yb 3.34, 4 Eu 3.34

(2)
First-principles (r²SCAN) data for a relaxed structure of AlBrO, as listed in Materials Project.

Summary:
V   20.62 Å³/atom
DFT formation energy   -2.42 eV/atom
Space-group type   Pca2_1 (29)
Energy   -132.886 eV for the cell shown

Cell lengths 5.5863, 8.9047, 4.9733 Å; angles 90.00, 90.00, 90.00 degrees
Last column: nearest neighbours and their distance in Å.
Sites, in units of the cell vectors:
Al (0.0915, 0.0879, 0.0000)  3 O 1.79-1.81
Al (0.4085, 0.0879, 0.5000)  3 O 1.79-1.81
Al (0.5915, 0.9121, 0.0000)  3 O 1.79-1.81
Al (0.9085, 0.9121, 0.5000)  3 O 1.79-1.81
Br (0.0042, 0.6753, 0.5958)  1 Al 2.23
Br (0.4958, 0.6753, 0.0958)  1 Al 2.23
Br (0.5042, 0.3247, 0.5958)  1 Al 2.23
Br (0.9958, 0.3247, 0.0958)  1 Al 2.23
O (0.1288, 0.0333, 0.6553)  3 Al 1.79-1.81
O (0.3712, 0.0333, 0.1553)  3 Al 1.79-1.81
O (0.6288, 0.9667, 0.6553)  3 Al 1.79-1.81
O (0.8712, 0.9667, 0.1553)  3 Al 1.79-1.81

(3)
First-principles (r²SCAN) data for a relaxed structure of Li5Mg, as listed in Materials Project.

Summary:
V   20.42 Å³/atom
DFT formation energy   -0.01 eV/atom
Energy above the most stable polymorph in this dataset   0.0 kJ per mole of atoms
Space-group type   Amm2 (38)
Energy   -16.192 eV for the cell shown

Cell lengths 5.0451, 8.0876, 8.0876 Å; angles 21.79, 90.00, 90.00 degrees
Last column: nearest neighbours and their distance in Å.
Sites, in units of the cell vectors:
Li (0.0000, 0.0000, 0.0000)  10 Li 3.04-3.08, 2 Mg 3.10
Li (0.0000, 0.3315, 0.3315)  12 Li 3.04-3.10
Li (0.0000, 0.6658, 0.6658)  8 Li 3.04-3.10, 4 Mg 3.07
Li (0.5000, 0.4449, 0.4449)  10 Li 3.05-3.10, 2 Mg 3.08
Li (0.5000, 0.7789, 0.7789)  2 Mg 3.05, 10 Li 3.05-3.10
Mg (0.5000, 0.1129, 0.1129)  10 Li 3.05-3.10, 2 Mg 3.06

(4)
First-principles (r²SCAN) data for a relaxed structure of CsMgH3, as listed in Materials Project.

Summary:
V   17.31 Å³/atom
DFT formation energy   -0.33 eV/atom
Space-group type   Pmmn (59)
Energy   -247.762 eV for the cell shown

Cell lengths 6.1171, 9.9521, 8.5280 Å; angles 90.00, 90.00, 90.00 degrees
Last column: nearest neighbours and their distance in Å.
Sites, in units of the cell vectors:
Cs (0.2500, 0.0269, 0.1625)  12 H 3.09-3.45
Cs (0.2500, 0.2500, 0.6799)  12 H 3.14-3.48
Cs (0.2500, 0.4731, 0.1625)  12 H 3.09-3.45
Cs (0.7500, 0.5269, 0.8375)  12 H 3.09-3.45
Cs (0.7500, 0.7500, 0.3201)  12 H 3.14-3.48
Cs (0.7500, 0.9731, 0.8375)  12 H 3.09-3.45
Mg (0.2500, 0.6106, 0.5733)  6 H 1.96-2.01
Mg (0.2500, 0.7500, 0.8652)  4 H 1.86-2.06
Mg (0.2500, 0.8894, 0.5733)  6 H 1.96-2.01
Mg (0.7500, 0.1106, 0.4267)  6 H 1.96-2.01
Mg (0.7500, 0.2500, 0.1348)  4 H 1.86-2.06
Mg (0.7500, 0.3894, 0.4267)  6 H 1.96-2.01
H (0.0000, 0.0000, 0.5000)  2 Mg 1.99
H (0.0000, 0.5000, 0.5000)  2 Mg 1.99
H (0.0158, 0.7500, 0.0045)  1 Mg 1.86
H (0.0501, 0.7500, 0.6666)  3 Mg 2.01-2.09
H (0.2500, 0.5525, 0.7930)  2 Mg 1.96-2.06
H (0.2500, 0.7500, 0.4052)  2 Mg 1.99
H (0.2500, 0.9475, 0.7930)  2 Mg 1.96-2.06
H (0.4499, 0.7500, 0.6666)  3 Mg 2.01-2.09
H (0.4842, 0.7500, 0.0045)  1 Mg 1.86
H (0.5000, 0.0000, 0.5000)  2 Mg 1.99
H (0.5000, 0.5000, 0.5000)  2 Mg 1.99
H (0.5158, 0.2500, 0.9955)  1 Mg 1.86
H (0.5501, 0.2500, 0.3334)  3 Mg 2.01-2.09
H (0.7500, 0.0525, 0.2070)  2 Mg 1.96-2.06
H (0.7500, 0.2500, 0.5948)  2 Mg 1.99
H (0.7500, 0.4475, 0.2070)  2 Mg 1.96-2.06
H (0.9499, 0.2500, 0.3334)  3 Mg 2.01-2.09
H (0.9842, 0.2500, 0.9955)  1 Mg 1.86